[1]
Material: LiInMo3O8
Method: DFT, PBE with a Hubbard U
State: optimized geometry

a b c (Å): 5.848 5.848 5.091
angles (deg): 90.00 90.00 120.00
Fractional positions:
1 Li 0.000 0.000 0.000
2 In 0.667 0.333 0.031
3 Mo 0.187 0.373 0.553
4 Mo 0.187 0.813 0.553
5 Mo 0.627 0.813 0.553
6 O 0.000 0.000 0.361
7 O 0.000 0.500 0.316
8 O 0.317 0.159 0.778
9 O 0.333 0.667 0.835
10 O 0.500 0.000 0.316
11 O 0.500 0.500 0.316
12 O 0.841 0.159 0.778
13 O 0.841 0.683 0.778

Output
SG = P3m1, No. 156
ΔH_f (0 K) = -1923 meV per atom
Magnetization = 0.00 Bohr magnetons per cell
E = -6.668 eV/atom

=====

[2]
Material: LiInW2O8
Method: DFT, PBE with a Hubbard U
State: optimized geometry

a b c (Å): 7.649 7.649 5.097
angles (deg): 91.02 91.02 101.10
Fractional positions:
1 Li 0.158 0.842 0.750
2 Li 0.842 0.158 0.250
3 In 0.333 0.667 0.250
4 In 0.667 0.333 0.750
5 W 0.158 0.329 0.747
6 W 0.329 0.158 0.247
7 W 0.671 0.842 0.753
8 W 0.842 0.671 0.253
9 O 0.066 0.690 0.394
10 O 0.094 0.195 0.057
11 O 0.195 0.094 0.557
12 O 0.195 0.555 0.894
13 O 0.301 0.409 0.432
14 O 0.310 0.934 0.106
15 O 0.409 0.301 0.932
16 O 0.445 0.805 0.606
17 O 0.555 0.195 0.394
18 O 0.591 0.699 0.068
19 O 0.690 0.066 0.894
20 O 0.699 0.591 0.568
21 O 0.805 0.445 0.106
22 O 0.805 0.906 0.443
23 O 0.906 0.805 0.943
24 O 0.934 0.310 0.606

Output
SG = C2/c, No. 15
ΔH_f (0 K) = -2206 meV per atom
Magnetization = 0.00 Bohr magnetons per cell
E = -6.855 eV/atom

=====

[3]
Material: MgMn4In2O10
Method: DFT, PBE with a Hubbard U
State: optimized geometry

a b c (Å): 3.912 10.191 5.707
angles (deg): 90.00 110.04 90.00
Fractional positions:
1 Mg 0.000 0.000 0.000
2 Mn 0.353 0.313 0.713
3 Mn 0.353 0.687 0.713
4 Mn 0.619 0.194 0.244
5 Mn 0.619 0.806 0.244
6 In 0.278 0.000 0.561
7 In 0.681 0.500 0.369
8 O 0.127 0.154 0.260
9 O 0.127 0.846 0.260
10 O 0.277 0.500 0.562
11 O 0.437 0.126 0.884
12 O 0.437 0.874 0.884
13 O 0.539 0.358 0.084
14 O 0.539 0.642 0.084
15 O 0.705 0.000 0.417
16 O 0.777 0.291 0.560
17 O 0.777 0.709 0.560

Output
SG = Pm, No. 6
ΔH_f (0 K) = -1952 meV per atom
Magnetization = 16.01 Bohr magnetons per cell
E = -6.639 eV/atom
Polymorph energy (0 for the lowest one) = 25 meV per atom

=====

[4]
Material: MgMn4In2O10
Method: DFT, PBE with a Hubbard U
State: optimized geometry

a b c (Å): 5.542 5.542 10.421
angles (deg): 93.58 93.58 42.35
Fractional positions:
1 Mg 0.000 0.000 0.000
2 Mn 0.343 0.343 0.081
3 Mn 0.362 0.362 0.447
4 Mn 0.638 0.638 0.553
5 Mn 0.657 0.657 0.919
6 In 0.312 0.312 0.739
7 In 0.688 0.688 0.261
8 O 0.171 0.171 0.927
9 O 0.196 0.196 0.549
10 O 0.274 0.274 0.264
11 O 0.441 0.441 0.899
12 O 0.462 0.462 0.609
13 O 0.538 0.538 0.391
14 O 0.559 0.559 0.101
15 O 0.726 0.726 0.736
16 O 0.804 0.804 0.451
17 O 0.829 0.829 0.073

Output
SG = C2/m, No. 12
ΔH_f (0 K) = -1977 meV per atom
Magnetization = 16.01 Bohr magnetons per cell
E = -6.665 eV/atom
Polymorph energy (0 for the lowest one) = 0 meV per atom

=====

[5]
Material: NaMg3InMo5O20
Method: DFT, PBE with a Hubbard U
State: optimized geometry

a b c (Å): 7.112 7.175 18.262
angles (deg): 87.38 87.49 79.18
Fractional positions:
1 Na 0.000 0.000 0.000
2 Na 0.268 0.675 0.567
3 Mg 0.307 0.414 0.400
4 Mg 0.384 0.637 0.015
5 Mg 0.885 0.037 0.548
6 Mg 0.913 0.760 0.412
7 Mg 0.943 0.513 0.790
8 Mg 0.958 0.264 0.170
9 In 0.321 0.167 0.776
10 In 0.355 0.915 0.158
11 Mo 0.353 0.163 0.568
12 Mo 0.383 0.882 0.371
13 Mo 0.405 0.646 0.810
14 Mo 0.408 0.399 0.190
15 Mo 0.454 0.117 0.976
16 Mo 0.817 0.559 0.592
17 Mo 0.862 0.277 0.377
18 Mo 0.868 0.025 0.757
19 Mo 0.888 0.791 0.199
20 Mo 0.917 0.512 0.998
21 O 0.011 0.204 0.781
22 O 0.041 0.956 0.159
23 O 0.081 0.671 0.014
24 O 0.190 0.004 0.553
25 O 0.226 0.722 0.408
26 O 0.253 0.475 0.788
27 O 0.270 0.219 0.166
28 O 0.299 0.382 0.513
29 O 0.305 0.125 0.393
30 O 0.318 0.137 0.895
31 O 0.335 0.225 0.662
32 O 0.335 0.870 0.760
33 O 0.344 0.451 0.282
34 O 0.358 0.940 0.039
35 O 0.364 0.621 0.134
36 O 0.382 0.689 0.905
37 O 0.384 0.870 0.273
38 O 0.424 0.343 0.016
39 O 0.572 0.635 0.613
40 O 0.591 0.051 0.547
41 O 0.613 0.372 0.386
42 O 0.614 0.799 0.404
43 O 0.624 0.125 0.780
44 O 0.647 0.552 0.789
45 O 0.654 0.303 0.181
46 O 0.659 0.880 0.161
47 O 0.677 0.624 0.020
48 O 0.698 0.041 0.955
49 O 0.848 0.331 0.552
50 O 0.887 0.801 0.295
51 O 0.889 0.986 0.662
52 O 0.905 0.053 0.431
53 O 0.910 0.734 0.528
54 O 0.926 0.226 0.284
55 O 0.934 0.455 0.904
56 O 0.934 0.803 0.806
57 O 0.948 0.539 0.675
58 O 0.966 0.550 0.175
59 O 0.971 0.293 0.054
60 O 0.995 0.461 0.400

Output
SG = P1, No. 1
ΔH_f (0 K) = -2265 meV per atom
Magnetization = 0.00 Bohr magnetons per cell
E = -6.676 eV/atom

=====

[6]
Material: RbMgInMo2O8
Method: DFT, PBE with a Hubbard U
State: optimized geometry

a b c (Å): 6.069 6.069 7.960
angles (deg): 90.00 90.00 120.00
Fractional positions:
1 Rb 0.000 0.000 0.000
2 Mg 0.667 0.333 0.719
3 In 0.000 0.000 0.481
4 Mo 0.333 0.667 0.786
5 Mo 0.667 0.333 0.193
6 O 0.170 0.340 0.710
7 O 0.170 0.830 0.710
8 O 0.333 0.667 0.007
9 O 0.353 0.176 0.277
10 O 0.660 0.830 0.710
11 O 0.667 0.333 0.958
12 O 0.824 0.176 0.277
13 O 0.824 0.647 0.277

Output
SG = P3m1, No. 156
ΔH_f (0 K) = -1850 meV per atom
Magnetization = 0.00 Bohr magnetons per cell
E = -6.058 eV/atom
Polymorph energy (0 for the lowest one) = 0 meV per atom